# 1
Density functional theory data (GGA-PBE) for a relaxed Na3LaHfSiP2O12 crystal.

Cell: 9.4286 9.4286 22.7568 Å, 90.11 90.11 60.36°
Last column: nearest neighbours and their distance in Å.
Fractional positions:
Na 0.0047 0.9953 0.5000  4 O 2.46-2.59
Na 0.0196 0.6425 0.5831  3 O 2.35-2.49
Na 0.0353 0.2909 0.0748  3 O 2.34-2.41
Na 0.2909 0.0353 0.5748  3 O 2.34-2.41
Na 0.3080 0.9770 0.9164  3 O 2.33-2.53
Na 0.3139 0.3433 0.1666  4 O 2.45-2.73
Na 0.3433 0.3139 0.6666  4 O 2.45-2.73
Na 0.3505 0.9912 0.2426  3 O 2.33-2.45
Na 0.3517 0.6371 0.7446  3 O 2.32-2.44
Na 0.6371 0.3517 0.2446  3 O 2.32-2.44
Na 0.6425 0.0196 0.0831  3 O 2.35-2.49
Na 0.6585 0.6766 0.3337  4 O 2.44-2.61
Na 0.6766 0.6585 0.8337  4 O 2.44-2.61
Na 0.6781 0.9739 0.4074  3 O 2.35-2.43
Na 0.9739 0.6781 0.9074  3 O 2.35-2.43
Na 0.9770 0.3080 0.4164  3 O 2.33-2.53
Na 0.9912 0.3505 0.7426  3 O 2.33-2.45
Na 0.9953 0.0047 0.0000  4 O 2.46-2.59
La 0.0053 0.9704 0.3466  6 O 2.27-2.47
La 0.3311 0.3326 0.5127  6 O 2.25-2.42
La 0.3326 0.3311 0.0127  6 O 2.25-2.42
La 0.6639 0.6661 0.1810  6 O 2.24-2.42
La 0.6661 0.6639 0.6810  6 O 2.24-2.42
La 0.9704 0.0053 0.8466  6 O 2.27-2.47
Hf 0.3245 0.3278 0.8147  6 O 2.02-2.19
Hf 0.3278 0.3245 0.3147  6 O 2.02-2.19
Hf 0.6536 0.6548 0.9812  6 O 2.05-2.22
Hf 0.6548 0.6536 0.4812  6 O 2.05-2.22
Hf 0.9828 0.9988 0.6477  6 O 2.07-2.22
Hf 0.9988 0.9828 0.1477  6 O 2.07-2.22
Si 0.0117 0.6776 0.7515  4 O 1.61-1.69
Si 0.0170 0.3406 0.9183  4 O 1.62-1.71
Si 0.3406 0.0170 0.4183  4 O 1.62-1.71
Si 0.3488 0.9556 0.0827  4 O 1.62-1.69
Si 0.6776 0.0117 0.2515  4 O 1.61-1.69
Si 0.9556 0.3488 0.5827  4 O 1.62-1.69
P 0.0100 0.6158 0.4183  4 O 1.53-1.58
P 0.0113 0.2779 0.2500  4 O 1.52-1.59
P 0.2779 0.0113 0.7500  4 O 1.52-1.59
P 0.2880 0.6778 0.2455  4 O 1.52-1.58
P 0.3439 0.6220 0.9105  4 O 1.52-1.58
P 0.3454 0.6842 0.5859  4 O 1.52-1.59
P 0.6158 0.0100 0.9183  4 O 1.53-1.58
P 0.6220 0.3439 0.4105  4 O 1.52-1.58
P 0.6778 0.2880 0.7455  4 O 1.52-1.58
P 0.6795 0.9503 0.5776  4 O 1.52-1.58
P 0.6842 0.3454 0.0859  4 O 1.52-1.59
P 0.9503 0.6795 0.0776  4 O 1.52-1.58
O 0.0023 0.7640 0.8136  1 Si 1.61
O 0.0041 0.1752 0.9133  1 Si 1.63
O 0.0184 0.7932 0.6958  1 Si 1.69
O 0.0322 0.1560 0.1982  1 P 1.59
O 0.0894 0.5584 0.4785  1 P 1.53
O 0.1110 0.3234 0.9797  1 Si 1.62
O 0.1263 0.5007 0.3686  1 P 1.58
O 0.1265 0.5414 0.0715  1 P 1.53
O 0.1331 0.3572 0.8637  1 Si 1.71
O 0.1422 0.3211 0.5787  1 Si 1.65
O 0.1560 0.0322 0.6982  1 P 1.59
O 0.1678 0.9670 0.0862  1 Si 1.66
O 0.1735 0.2869 0.2519  1 P 1.57
O 0.1729 0.7835 0.1937  1 P 1.58
O 0.1752 0.0041 0.4133  1 Si 1.63
O 0.1822 0.8531 0.5847  1 P 1.58
O 0.1906 0.5000 0.7510  1 Si 1.69
O 0.2050 0.8000 0.9041  1 P 1.54
O 0.2070 0.9939 0.8080  1 P 1.52
O 0.2361 0.7803 0.3012  1 P 1.52
O 0.2789 0.5181 0.2514  1 P 1.56
O 0.2869 0.1735 0.7519  1 P 1.57
O 0.3010 0.5486 0.5783  1 P 1.54
O 0.3060 0.5550 0.9651  1 P 1.52
O 0.3211 0.1422 0.0787  1 Si 1.65
O 0.3234 0.1110 0.4797  1 Si 1.62
O 0.3572 0.1331 0.3637  1 Si 1.71
O 0.3602 0.5104 0.8562  1 P 1.58
O 0.4269 0.6649 0.6452  1 P 1.52
O 0.4465 0.8605 0.7422  1 P 1.53
O 0.4480 0.8874 0.1437  1 Si 1.62
O 0.4582 0.6890 0.5352  1 P 1.59
O 0.4606 0.8335 0.0269  1 Si 1.69
O 0.4676 0.6317 0.2364  1 P 1.54
O 0.5000 0.1906 0.2510  1 Si 1.69
O 0.5007 0.1263 0.8686  1 P 1.58
O 0.5085 0.6231 0.9176  1 P 1.57
O 0.5104 0.3602 0.3562  1 P 1.58
O 0.5151 0.8409 0.4197  1 Si 1.66
O 0.5181 0.2789 0.7514  1 P 1.56
O 0.5414 0.1265 0.5715  1 P 1.53
O 0.5486 0.3010 0.0783  1 P 1.54
O 0.5550 0.3060 0.4651  1 P 1.52
O 0.5584 0.0894 0.9785  1 P 1.53
O 0.6046 0.8487 0.9160  1 P 1.58
O 0.6231 0.5085 0.4176  1 P 1.57
O 0.6317 0.4676 0.7364  1 P 1.54
O 0.6331 0.8647 0.2499  1 Si 1.64
O 0.6447 0.8838 0.6334  1 P 1.52
O 0.6649 0.4269 0.1452  1 P 1.52
O 0.6890 0.4582 0.0352  1 P 1.59
O 0.6951 0.8344 0.5248  1 P 1.58
O 0.7640 0.0023 0.3136  1 Si 1.61
O 0.7803 0.2361 0.8012  1 P 1.52
O 0.7835 0.1729 0.6937  1 P 1.58
O 0.7932 0.0184 0.1958  1 Si 1.69
O 0.7965 0.9622 0.9116  1 P 1.54
O 0.8000 0.2050 0.4041  1 P 1.54
O 0.8335 0.4606 0.5269  1 Si 1.69
O 0.8344 0.6951 0.0248  1 P 1.58
O 0.8409 0.5151 0.9197  1 Si 1.66
O 0.8487 0.6046 0.4160  1 P 1.58
O 0.8502 0.9415 0.5834  1 P 1.58
O 0.8531 0.1822 0.0847  1 P 1.58
O 0.8605 0.4465 0.2422  1 P 1.53
O 0.8647 0.6331 0.7499  1 Si 1.64
O 0.8838 0.6447 0.1334  1 P 1.52
O 0.8874 0.4480 0.6437  1 Si 1.62
O 0.9415 0.8502 0.0834  1 P 1.58
O 0.9622 0.7965 0.4116  1 P 1.54
O 0.9670 0.1678 0.5862  1 Si 1.66
O 0.9939 0.2070 0.3080  1 P 1.52

Calculated values
The calculation puts the formation energy at -3.08 eV per atom. The magnetization comes out at 0.00 μB per formula unit. As for the polymorph energy (0 for the lowest one): 0.0 meV/atom. For the MP2020-corrected energy, the calculation gives -7.804 eV/atom.

# 2
Density functional theory data (GGA-PBE) for a relaxed CsMg14Zn crystal.

Cell: 10.7632 6.6118 6.6118 Å, 58.87 90.00 90.00°
Last column: nearest neighbours and their distance in Å.
Fractional positions:
Cs 0.0000 0.0000 0.0000  2 Zn 3.25, 10 Mg 3.30-3.51
Mg 0.0000 0.0101 0.4936  2 Zn 3.13-3.48, 8 Mg 3.14-3.44, 2 Cs 3.30-3.31
Mg 0.0000 0.4936 0.0101  2 Zn 3.13-3.48, 8 Mg 3.14-3.44, 2 Cs 3.30-3.31
Mg 0.2425 0.6611 0.6611  11 Mg 3.26-3.35, 1 Zn 3.29
Mg 0.2695 0.1704 0.1704  11 Mg 3.11-3.43
Mg 0.2702 0.1697 0.6519  10 Mg 3.10-3.44, 1 Zn 3.42
Mg 0.2702 0.6519 0.1697  10 Mg 3.10-3.44, 1 Zn 3.42
Mg 0.5000 0.5002 0.5002  12 Mg 3.10-3.35
Mg 0.5000 0.5022 0.9926  12 Mg 3.11-3.35
Mg 0.5000 0.9926 0.5022  12 Mg 3.11-3.35
Mg 0.5000 0.9972 0.9972  12 Mg 3.15-3.32
Mg 0.7305 0.1704 0.1704  11 Mg 3.11-3.43
Mg 0.7298 0.1697 0.6519  10 Mg 3.10-3.44, 1 Zn 3.42
Mg 0.7298 0.6519 0.1697  10 Mg 3.10-3.44, 1 Zn 3.42
Mg 0.7575 0.6611 0.6611  11 Mg 3.26-3.35, 1 Zn 3.29
Zn 0.0000 0.4871 0.4871  10 Mg 3.13-3.48, 2 Cs 3.25

Calculated values
The calculation puts the formation energy at 0.17 eV per atom. The magnetization comes out at 0.00 μB per formula unit. As for the polymorph energy (0 for the lowest one): 0.0 meV/atom.

# 3
Density functional theory data (GGA-PBE) for a relaxed Cu2S crystal.

Cell: 9.1059 5.9299 5.6279 Å, 90.00 90.57 90.00°
Last column: nearest neighbours and their distance in Å.
Fractional positions:
Cu 0.0000 0.0000 0.0000  2 S 2.21
Cu 0.0000 0.0000 0.5000  2 S 2.15
Cu 0.2500 0.2500 0.0000  2 S 2.15
Cu 0.2500 0.7500 0.0000  2 S 2.15
Cu 0.5000 0.5000 0.0000  2 S 2.21
Cu 0.5000 0.5000 0.5000  2 S 2.15
Cu 0.7500 0.2500 0.0000  2 S 2.15
Cu 0.7500 0.7500 0.0000  2 S 2.15
S 0.1825 0.0000 0.7449  4 Cu 2.15-2.21
S 0.3175 0.5000 0.2551  4 Cu 2.15-2.21
S 0.6825 0.5000 0.7449  4 Cu 2.15-2.21
S 0.8175 0.0000 0.2551  4 Cu 2.15-2.21

Calculated values
The calculation puts the formation energy at -0.24 eV per atom. The magnetization comes out at 0.00 μB per formula unit. For the MP2020-corrected energy, the calculation gives -4.355 eV/atom.

# 4
Density functional theory data (GGA-PBE) for a relaxed Sc3NiC4 crystal.

Cell: 3.4520 4.3725 11.8984 Å, 90.00 90.00 90.00°
Last column: nearest neighbours and their distance in Å.
Fractional positions:
Sc 0.0000 0.0000 0.0000  8 C 2.39
Sc 0.0000 0.5000 0.1871  6 C 2.36-2.38
Sc 0.0000 0.5000 0.8129  6 C 2.36-2.38
Sc 0.5000 0.0000 0.3129  6 C 2.36-2.38
Sc 0.5000 0.0000 0.6871  6 C 2.36-2.38
Sc 0.5000 0.5000 0.5000  8 C 2.39
Ni 0.0000 0.0000 0.5000  4 C 2.08
Ni 0.5000 0.5000 0.0000  4 C 2.08
C 0.0000 0.3336 0.3758  1 C 1.45
C 0.0000 0.3336 0.6242  1 C 1.45
C 0.0000 0.6664 0.3758  1 C 1.45
C 0.0000 0.6664 0.6242  1 C 1.45
C 0.5000 0.1664 0.1242  1 C 1.45
C 0.5000 0.1664 0.8758  1 C 1.45
C 0.5000 0.8336 0.1242  1 C 1.45
C 0.5000 0.8336 0.8758  1 C 1.45

Calculated values
The calculation puts the formation energy at -0.43 eV per atom.

# 5
Density functional theory data (GGA-PBE) for a relaxed Na4Cu7P4Cl2O18 crystal.

Cell: 6.4384 8.5631 8.5631 Å, 104.99 90.00 90.00°
Last column: nearest neighbours and their distance in Å.
Fractional positions:
Na 0.2449 0.1917 0.8083  3 O 2.23-2.41
Na 0.2449 0.8083 0.1917  3 O 2.23-2.41
Na 0.7551 0.1917 0.8083  3 O 2.23-2.41
Na 0.7551 0.8083 0.1917  3 O 2.23-2.41
Cu 0.0000 0.1807 0.4045  4 O 1.95-2.10
Cu 0.0000 0.4045 0.1807  4 O 1.95-2.10
Cu 0.2474 0.5043 0.5043  2 O 1.87-1.89
Cu 0.5000 0.1225 0.1225  2 O 1.95
Cu 0.5000 0.5866 0.8175  4 O 1.92-2.05
Cu 0.5000 0.8175 0.5866  4 O 1.92-2.05
Cu 0.7526 0.5043 0.5043  2 O 1.87-1.89
P 0.0000 0.5442 0.8786  4 O 1.51-1.58
P 0.0000 0.8786 0.5442  4 O 1.51-1.58
P 0.5000 0.1352 0.4640  4 O 1.55-1.57
P 0.5000 0.4640 0.1352  4 O 1.55-1.57
Cl 0.0000 0.1091 0.1091  2 Cu 2.44
Cl 0.5000 0.9044 0.9044  1 Cu 2.27
O 0.0000 0.0116 0.6993  1 P 1.51
O 0.0000 0.3917 0.9503  1 P 1.58
O 0.0000 0.4107 0.4107  4 Cu 1.87-1.96
O 0.0000 0.6993 0.0116  1 P 1.51
O 0.0000 0.9503 0.3917  1 P 1.58
O 0.1961 0.5245 0.7644  1 P 1.58
O 0.1961 0.7644 0.5245  1 P 1.58
O 0.3034 0.2442 0.4866  1 P 1.55
O 0.3034 0.4866 0.2442  1 P 1.55
O 0.5000 0.0106 0.2939  1 P 1.57
O 0.5000 0.0446 0.6001  1 P 1.56
O 0.5000 0.2939 0.0106  1 P 1.57
O 0.5000 0.5957 0.5957  4 Cu 1.89-1.92
O 0.5000 0.6001 0.0446  1 P 1.56
O 0.6966 0.2442 0.4866  1 P 1.55
O 0.6966 0.4866 0.2442  1 P 1.55
O 0.8039 0.5245 0.7644  1 P 1.58
O 0.8039 0.7644 0.5245  1 P 1.58

Calculated values
The calculation puts the formation energy at -1.86 eV per atom. The magnetization comes out at 2.66 μB per formula unit. For the MP2020-corrected energy, the calculation gives -6.104 eV/atom.

# 6
Density functional theory data (GGA-PBE) for a relaxed Lu6FeBi2 crystal.

Cell: 8.1420 8.1420 4.1136 Å, 90.00 90.00 120.00°
Last column: nearest neighbours and their distance in Å.
Fractional positions:
Lu 0.0000 0.2303 0.0000  2 Fe 2.78
Lu 0.0000 0.6164 0.5000  1 Fe 3.12, 4 Bi 3.26, 4 Lu 3.41
Lu 0.2303 0.0000 0.0000  2 Fe 2.78
Lu 0.3836 0.3836 0.5000  1 Fe 3.12, 4 Bi 3.26, 4 Lu 3.41
Lu 0.6164 0.0000 0.5000  1 Fe 3.12, 4 Bi 3.26, 4 Lu 3.41
Lu 0.7697 0.7697 0.0000  2 Fe 2.78
Fe 0.0000 0.0000 0.5000  6 Lu 2.78
Bi 0.3333 0.6667 0.0000  9 Lu 3.22-3.26
Bi 0.6667 0.3333 0.0000  9 Lu 3.22-3.26

Calculated values
The calculation puts the formation energy at -0.41 eV per atom.

# 7
Density functional theory data (GGA-PBE) for a relaxed Zr2Ag crystal.

Cell: 3.2620 3.2620 12.1982 Å, 90.00 90.00 90.00°
Last column: nearest neighbours and their distance in Å.
Fractional positions:
Zr 0.0000 0.0000 0.1635  4 Ag 3.05, 8 Zr 3.13-3.26
Zr 0.0000 0.0000 0.8365  4 Ag 3.05, 8 Zr 3.13-3.26
Zr 0.5000 0.5000 0.3365  4 Ag 3.05, 8 Zr 3.13-3.26
Zr 0.5000 0.5000 0.6635  4 Ag 3.05, 8 Zr 3.13-3.26
Ag 0.0000 0.0000 0.5000  8 Zr 3.05, 4 Ag 3.26
Ag 0.5000 0.5000 0.0000  8 Zr 3.05, 4 Ag 3.26

Calculated values
The calculation puts the formation energy at -0.11 eV per atom.